DFT (PBE+U) results for a relaxed LiMnSi2O6 crystal.

The structure in POSCAR format:
```
LiMnSi2O6
1.0
6.708 -0.028 -0.050
-0.780 6.661 0.050
-1.488 1.329 4.937
Si O Mn Li
4 12 2 2
Direct
0.386 0.797 0.263
0.797 0.386 0.237
0.203 0.614 0.763
0.614 0.203 0.737
0.650 0.348 0.948
0.377 0.113 0.663
0.113 0.377 0.837
0.350 0.652 0.052
0.024 0.795 0.637
0.348 0.650 0.552
0.795 0.024 0.863
0.976 0.205 0.363
0.887 0.623 0.163
0.652 0.350 0.448
0.205 0.976 0.137
0.623 0.887 0.337
0.105 0.105 0.750
0.895 0.895 0.250
0.254 0.254 0.250
0.746 0.746 0.750
```

Results
V ... 10.98 A^3/atom
Polymorph energy (0 for the lowest one) ... 1.1 meV per atom
Formation energy ... -2.81 eV per atom